! LiCd3, optimized geometry, DFT r²SCAN; values from VASP
! SG = No. 187
! DFT formation energy = -0.11 eV/atom
&SYSTEM
  ibrav = 0, nat = 4, ntyp = 2
/
ATOMIC_SPECIES
Li 6.94 Li.upf
Cd 112.41 Cd.upf
CELL_PARAMETERS angstrom
3.096 0.000 0.000
-1.548 2.681 0.000
0.000 0.000 9.707
ATOMIC_POSITIONS crystal
Li 0.000 0.000 0.000
Cd 0.000 0.000 0.500
Cd 0.667 0.333 0.235
Cd 0.667 0.333 0.765

=====

! LiCd, optimized geometry, DFT r²SCAN; values from VASP
! SG = No. 227
! DFT formation energy = -0.28 eV/atom
&SYSTEM
  ibrav = 0, nat = 4, ntyp = 2
/
ATOMIC_SPECIES
Li 6.94 Li.upf
Cd 112.41 Cd.upf
CELL_PARAMETERS angstrom
0.000 3.332 3.332
3.332 0.000 3.332
3.332 3.332 0.000
ATOMIC_POSITIONS crystal
Li 0.125 0.125 0.125
Li 0.875 0.875 0.875
Cd 0.375 0.375 0.375
Cd 0.625 0.625 0.625

=====

! Li2CdSiO4, optimized geometry, DFT r²SCAN; values from VASP
! SG = No. 62
! DFT formation energy = -2.41 eV/atom
&SYSTEM
  ibrav = 0, nat = 32, ntyp = 4
/
ATOMIC_SPECIES
Li 6.94 Li.upf
Cd 112.41 Cd.upf
Si 28.09 Si.upf
O 16.00 O.upf
CELL_PARAMETERS angstrom
10.621 0.000 0.000
0.000 6.508 0.000
0.000 0.000 5.098
ATOMIC_POSITIONS crystal
Li 0.088 0.001 0.171
Li 0.088 0.499 0.171
Li 0.412 0.501 0.671
Li 0.412 0.999 0.671
Li 0.588 0.001 0.329
Li 0.588 0.499 0.329
Li 0.912 0.501 0.829
Li 0.912 0.999 0.829
Cd 0.161 0.250 0.672
Cd 0.339 0.750 0.172
Cd 0.661 0.250 0.828
Cd 0.839 0.750 0.328
Si 0.157 0.750 0.665
Si 0.343 0.250 0.165
Si 0.657 0.750 0.835
Si 0.843 0.250 0.335
O 0.089 0.548 0.792
O 0.089 0.952 0.792
O 0.143 0.750 0.345
O 0.191 0.250 0.238
O 0.309 0.750 0.738
O 0.357 0.250 0.845
O 0.411 0.048 0.292
O 0.411 0.452 0.292
O 0.589 0.548 0.708
O 0.589 0.952 0.708
O 0.643 0.750 0.155
O 0.691 0.250 0.262
O 0.809 0.750 0.762
O 0.857 0.250 0.655
O 0.911 0.048 0.208
O 0.911 0.452 0.208

=====

! Li2ZnCdP2, optimized geometry, DFT r²SCAN; values from VASP
! SG = No. 160
! DFT formation energy = -0.59 eV/atom
&SYSTEM
  ibrav = 0, nat = 6, ntyp = 4
/
ATOMIC_SPECIES
Li 6.94 Li.upf
Zn 65.41 Zn.upf
Cd 112.41 Cd.upf
P 30.97 P.upf
CELL_PARAMETERS angstrom
2.085 1.204 6.832
-2.085 1.204 6.832
0.000 -2.408 6.832
ATOMIC_POSITIONS crystal
Li 0.000 0.000 0.000
Li 0.497 0.497 0.497
Zn 0.748 0.748 0.748
Cd 0.248 0.248 0.248
P 0.376 0.376 0.376
P 0.867 0.867 0.867

=====

! Li2CdPb, optimized geometry, DFT r²SCAN; values from VASP
! SG = No. 225
! DFT formation energy = -0.32 eV/atom
&SYSTEM
  ibrav = 0, nat = 4, ntyp = 3
/
ATOMIC_SPECIES
Li 6.94 Li.upf
Cd 112.41 Cd.upf
Pb 207.20 Pb.upf
CELL_PARAMETERS angstrom
0.000 3.396 3.396
3.396 0.000 3.396
3.396 3.396 0.000
ATOMIC_POSITIONS crystal
Li 0.250 0.250 0.250
Li 0.750 0.750 0.750
Cd 0.000 0.000 0.000
Pb 0.500 0.500 0.500

=====

! LiCd2Pd, optimized geometry, DFT r²SCAN; values from VASP
! SG = No. 225
! DFT formation energy = -0.41 eV/atom
&SYSTEM
  ibrav = 0, nat = 4, ntyp = 3
/
ATOMIC_SPECIES
Li 6.94 Li.upf
Cd 112.41 Cd.upf
Pd 106.42 Pd.upf
CELL_PARAMETERS angstrom
0.000 3.248 3.248
3.248 0.000 3.248
3.248 3.248 0.000
ATOMIC_POSITIONS crystal
Li 0.000 0.000 0.000
Cd 0.250 0.250 0.250
Cd 0.750 0.750 0.750
Pd 0.500 0.500 0.500